# YNb3P6O24 PBE optimized geometry
# - Total magnetic moment: 0.00 μB per formula unit
# - Uncorrected energy: -8.008 eV/atom
# - Mass density: 2.959 g/cm³
data_YNb3P6O24
_chemical_formula_sum 'Y3 Nb9 P18 O72'
_symmetry_space_group_name_H-M 'P 3'
_symmetry_Int_Tables_number 143
_symmetry_space_group_name_Hall 'P 3'
_cell_length_a 8.9192
_cell_length_b 8.9192
_cell_length_c 22.9095
_cell_angle_alpha 90.00
_cell_angle_beta 90.00
_cell_angle_gamma 120.00
loop_
_atom_site_label
_atom_site_type_symbol
_atom_site_fract_x
_atom_site_fract_y
_atom_site_fract_z
Y1 Y 0.0000 0.0000 0.0000
Y2 Y 0.0000 0.0000 0.4952
Y3 Y 0.3333 0.6667 0.6722
Nb1 Nb 0.0000 0.0000 0.2852
Nb2 Nb 0.0000 0.0000 0.7827
Nb3 Nb 0.3333 0.6667 0.1655
Nb4 Nb 0.3333 0.6667 0.4532
Nb5 Nb 0.3333 0.6667 0.9470
Nb6 Nb 0.6667 0.3333 0.1142
Nb7 Nb 0.6667 0.3333 0.3264
Nb8 Nb 0.6667 0.3333 0.6131
Nb9 Nb 0.6667 0.3333 0.8296
P1 P 0.0022 0.2881 0.8890
P2 P 0.0043 0.7093 0.3868
P3 P 0.0437 0.3901 0.5575
P4 P 0.0517 0.6538 0.0577
P5 P 0.3799 0.0528 0.2212
P6 P 0.3802 0.3140 0.7236
O1 O 0.0065 0.2099 0.5450
O2 O 0.0319 0.8104 0.0542
O3 O 0.0316 0.8327 0.3331
O4 O 0.0382 0.2020 0.8362
O5 O 0.1110 0.6408 0.7230
O6 O 0.1302 0.4875 0.2121
O7 O 0.1357 0.6263 0.0028
O8 O 0.1369 0.5074 0.5013
O9 O 0.1492 0.4694 0.6113
O10 O 0.1589 0.6690 0.1134
O11 O 0.1675 0.6943 0.3951
O12 O 0.1697 0.4700 0.8993
O13 O 0.2004 0.0329 0.2329
O14 O 0.2012 0.1456 0.7336
O15 O 0.2204 0.0402 0.9433
O16 O 0.2290 0.1808 0.4393
O17 O 0.4642 0.1694 0.1673
O18 O 0.4647 0.2889 0.6684
O19 O 0.4728 0.1438 0.8753
O20 O 0.4734 0.3234 0.3689
O21 O 0.4881 0.3267 0.7784
O22 O 0.4992 0.1359 0.2738
O23 O 0.5154 0.3874 0.0674
O24 O 0.5221 0.1328 0.5641